1.
Below is a geometry-optimized K11LiMn4O16 structure, with properties calculated at the PBE with a Hubbard U level.

Calculated volume in A^3/atom: 17.64
Spin magnetization in μB/f.u.: 8.0
VASP energy in eV per atom: -5.35
Space group: I-42m, No. 121

Cell lengths 10.530, 10.530, 10.530 Å; angles 135.56, 135.56, 64.66 degrees
Atoms (fractional coordinates):
1 K 0.000 0.000 0.000
2 K 0.000 0.500 0.500
3 K 0.183 0.572 0.000
4 K 0.209 0.209 0.000
5 K 0.250 0.750 0.500
6 K 0.428 0.428 0.611
7 K 0.500 0.000 0.500
8 K 0.572 0.183 0.000
9 K 0.750 0.250 0.500
10 K 0.791 0.791 0.000
11 K 0.817 0.817 0.389
12 Li 0.500 0.500 0.000
13 Mn 0.120 0.120 0.487
14 Mn 0.367 0.880 0.000
15 Mn 0.633 0.633 0.513
16 Mn 0.880 0.367 0.000
17 O 0.082 0.393 0.247
18 O 0.089 0.089 0.604
19 O 0.145 0.835 0.753
20 O 0.165 0.918 0.310
21 O 0.297 0.297 0.708
22 O 0.393 0.082 0.247
23 O 0.411 0.703 0.000
24 O 0.485 0.485 0.396
25 O 0.515 0.911 0.000
26 O 0.589 0.589 0.292
27 O 0.607 0.855 0.690
28 O 0.703 0.411 0.000
29 O 0.835 0.145 0.753
30 O 0.855 0.607 0.690
31 O 0.911 0.515 0.000
32 O 0.918 0.165 0.310


2.
Below is a geometry-optimized KLiMn2Si4O12 structure, with properties calculated at the PBE with a Hubbard U level.

Calculated volume in A^3/atom: 12.36
VASP energy in eV per atom: -7.37
Space group: C2/m, No. 12

Cell lengths 5.243, 5.243, 10.353 Å; angles 94.06, 94.06, 118.69 degrees
Atoms (fractional coordinates):
1 K 0.000 0.000 0.000
2 Li 0.500 0.500 0.500
3 Mn 0.155 0.845 0.500
4 Mn 0.845 0.155 0.500
5 Si 0.266 0.607 0.771
6 Si 0.393 0.734 0.229
7 Si 0.607 0.266 0.771
8 Si 0.734 0.393 0.229
9 O 0.046 0.549 0.163
10 O 0.111 0.111 0.399
11 O 0.214 0.572 0.614
12 O 0.428 0.786 0.386
13 O 0.451 0.954 0.837
14 O 0.453 0.453 0.829
15 O 0.547 0.547 0.171
16 O 0.549 0.046 0.163
17 O 0.572 0.214 0.614
18 O 0.786 0.428 0.386
19 O 0.889 0.889 0.601
20 O 0.954 0.451 0.837


3.
Below is a geometry-optimized KLiNd2Mo4O16 structure, with properties calculated at the PBE with a Hubbard U level.

Calculated volume in A^3/atom: 14.62
Spin magnetization in μB/f.u.: 0.0
VASP energy in eV per atom: -7.16
Space group: C2/c, No. 15

Cell lengths 7.065, 7.065, 19.922 Å; angles 91.30, 91.30, 135.00 degrees
Atoms (fractional coordinates):
1 K 0.032 0.968 0.750
2 K 0.968 0.032 0.250
3 Li 0.310 0.690 0.750
4 Li 0.690 0.310 0.250
5 Nd 0.146 0.853 0.533
6 Nd 0.147 0.854 0.967
7 Nd 0.853 0.146 0.033
8 Nd 0.854 0.147 0.467
9 Mo 0.242 0.731 0.351
10 Mo 0.269 0.758 0.149
11 Mo 0.422 0.547 0.907
12 Mo 0.453 0.578 0.593
13 Mo 0.547 0.422 0.407
14 Mo 0.578 0.453 0.093
15 Mo 0.731 0.242 0.851
16 Mo 0.758 0.269 0.649
17 O 0.019 0.743 0.173
18 O 0.062 0.472 0.286
19 O 0.068 0.590 0.432
20 O 0.105 0.415 0.134
21 O 0.180 0.513 0.957
22 O 0.221 0.261 0.540
23 O 0.233 0.322 0.399
24 O 0.257 0.981 0.327
25 O 0.261 0.221 0.040
26 O 0.308 0.496 0.671
27 O 0.322 0.233 0.899
28 O 0.410 0.932 0.068
29 O 0.415 0.105 0.634
30 O 0.472 0.062 0.786
31 O 0.487 0.820 0.543
32 O 0.496 0.308 0.171
33 O 0.504 0.692 0.829
34 O 0.513 0.180 0.457
35 O 0.528 0.938 0.214
36 O 0.585 0.895 0.366
37 O 0.590 0.068 0.932
38 O 0.678 0.767 0.101
39 O 0.692 0.504 0.329
40 O 0.739 0.779 0.960
41 O 0.743 0.019 0.673
42 O 0.767 0.678 0.601
43 O 0.779 0.739 0.460
44 O 0.820 0.487 0.043
45 O 0.895 0.585 0.866
46 O 0.932 0.410 0.568
47 O 0.938 0.528 0.714
48 O 0.981 0.257 0.827


4.
Below is a geometry-optimized KLiMoO4 structure, with properties calculated at the PBE with a Hubbard U level.

Calculated volume in A^3/atom: 17.55
Spin magnetization in μB/f.u.: 0.0
VASP energy in eV per atom: -6.21
Space group: P6_3, No. 173

Cell lengths 19.328, 19.328, 9.115 Å; angles 90.00, 90.00, 120.00 degrees
Atoms (fractional coordinates):
1 K 0.000 0.000 0.000
2 K 0.000 0.000 0.500
3 K 0.001 0.497 0.469
4 K 0.154 0.325 0.445
5 K 0.162 0.824 0.012
6 K 0.171 0.846 0.445
7 K 0.176 0.339 0.012
8 K 0.325 0.171 0.945
9 K 0.333 0.667 0.509
10 K 0.333 0.667 0.937
11 K 0.339 0.162 0.512
12 K 0.496 0.999 0.469
13 K 0.497 0.496 0.969
14 K 0.503 0.504 0.469
15 K 0.504 0.001 0.969
16 K 0.661 0.838 0.012
17 K 0.667 0.333 0.009
18 K 0.667 0.333 0.437
19 K 0.675 0.829 0.445
20 K 0.824 0.661 0.512
21 K 0.829 0.154 0.945
22 K 0.838 0.176 0.512
23 K 0.846 0.675 0.945
24 K 0.999 0.503 0.969
25 Li 0.011 0.172 0.148
26 Li 0.011 0.672 0.310
27 Li 0.161 0.989 0.148
28 Li 0.162 0.491 0.308
29 Li 0.172 0.161 0.648
30 Li 0.172 0.662 0.813
31 Li 0.328 0.338 0.310
32 Li 0.329 0.838 0.308
33 Li 0.338 0.011 0.810
34 Li 0.338 0.510 0.813
35 Li 0.490 0.828 0.813
36 Li 0.491 0.329 0.808
37 Li 0.509 0.671 0.308
38 Li 0.510 0.172 0.313
39 Li 0.662 0.490 0.313
40 Li 0.662 0.989 0.310
41 Li 0.671 0.162 0.808
42 Li 0.672 0.662 0.810
43 Li 0.828 0.338 0.313
44 Li 0.828 0.839 0.148
45 Li 0.838 0.509 0.808
46 Li 0.839 0.011 0.648
47 Li 0.989 0.328 0.810
48 Li 0.989 0.828 0.648
49 Mo 0.012 0.667 0.695
50 Mo 0.013 0.167 0.765
51 Mo 0.154 0.987 0.765
52 Mo 0.155 0.487 0.701
53 Mo 0.167 0.154 0.265
54 Mo 0.168 0.657 0.205
55 Mo 0.332 0.845 0.701
56 Mo 0.333 0.345 0.695
57 Mo 0.343 0.511 0.205
58 Mo 0.345 0.012 0.195
59 Mo 0.487 0.332 0.201
60 Mo 0.489 0.832 0.205
61 Mo 0.511 0.168 0.705
62 Mo 0.513 0.668 0.701
63 Mo 0.655 0.988 0.695
64 Mo 0.657 0.489 0.705
65 Mo 0.667 0.655 0.195
66 Mo 0.668 0.155 0.201
67 Mo 0.832 0.343 0.705
68 Mo 0.833 0.846 0.765
69 Mo 0.845 0.513 0.201
70 Mo 0.846 0.013 0.265
71 Mo 0.987 0.833 0.265
72 Mo 0.988 0.333 0.195
73 O 0.040 0.279 0.226
74 O 0.041 0.781 0.235
75 O 0.053 0.186 0.948
76 O 0.053 0.688 0.514
77 O 0.055 0.938 0.246
78 O 0.057 0.439 0.211
79 O 0.062 0.116 0.246
80 O 0.062 0.617 0.219
81 O 0.092 0.696 0.826
82 O 0.095 0.200 0.636
83 O 0.105 0.905 0.636
84 O 0.106 0.402 0.823
85 O 0.116 0.055 0.746
86 O 0.116 0.553 0.729
87 O 0.133 0.947 0.948
88 O 0.134 0.452 0.515
89 O 0.186 0.133 0.448
90 O 0.189 0.641 0.021
91 O 0.200 0.105 0.136
92 O 0.200 0.605 0.329
93 O 0.219 0.261 0.235
94 O 0.219 0.763 0.242
95 O 0.237 0.457 0.242
96 O 0.239 0.960 0.226
97 O 0.261 0.041 0.735
98 O 0.262 0.540 0.733
99 O 0.278 0.738 0.733
100 O 0.279 0.239 0.726
101 O 0.296 0.894 0.823
102 O 0.304 0.395 0.826
103 O 0.312 0.365 0.514
104 O 0.317 0.866 0.515
105 O 0.359 0.548 0.021
106 O 0.365 0.053 0.014
107 O 0.382 0.943 0.211
108 O 0.383 0.445 0.219
109 O 0.395 0.092 0.326
110 O 0.395 0.594 0.329
111 O 0.402 0.296 0.323
112 O 0.406 0.800 0.329
113 O 0.437 0.884 0.729
114 O 0.439 0.382 0.711
115 O 0.445 0.062 0.719
116 O 0.447 0.563 0.729
117 O 0.452 0.317 0.015
118 O 0.452 0.811 0.021
119 O 0.457 0.219 0.742
120 O 0.460 0.722 0.733
121 O 0.540 0.278 0.233
122 O 0.543 0.781 0.242
123 O 0.548 0.189 0.521
124 O 0.548 0.683 0.515
125 O 0.553 0.437 0.229
126 O 0.555 0.938 0.219
127 O 0.561 0.618 0.211
128 O 0.563 0.116 0.229
129 O 0.594 0.200 0.829
130 O 0.598 0.704 0.823
131 O 0.605 0.406 0.829
132 O 0.605 0.908 0.826
133 O 0.617 0.555 0.719
134 O 0.618 0.057 0.711
135 O 0.635 0.947 0.514
136 O 0.641 0.452 0.521
137 O 0.683 0.134 0.015
138 O 0.688 0.635 0.014
139 O 0.696 0.605 0.326
140 O 0.704 0.106 0.323
141 O 0.721 0.761 0.226
142 O 0.722 0.262 0.233
143 O 0.738 0.460 0.233
144 O 0.739 0.959 0.235
145 O 0.761 0.040 0.726
146 O 0.763 0.543 0.742
147 O 0.781 0.237 0.742
148 O 0.781 0.739 0.735
149 O 0.800 0.395 0.829
150 O 0.800 0.895 0.636
151 O 0.811 0.359 0.521
152 O 0.814 0.867 0.948
153 O 0.866 0.548 0.015
154 O 0.867 0.053 0.448
155 O 0.884 0.447 0.229
156 O 0.884 0.945 0.246
157 O 0.894 0.598 0.323
158 O 0.895 0.095 0.136
159 O 0.905 0.800 0.136
160 O 0.908 0.304 0.326
161 O 0.938 0.383 0.719
162 O 0.938 0.884 0.746
163 O 0.943 0.561 0.711
164 O 0.945 0.062 0.746
165 O 0.947 0.312 0.014
166 O 0.947 0.814 0.448
167 O 0.959 0.219 0.735
168 O 0.960 0.721 0.726


5.
Below is a geometry-optimized KLiMoO4 structure, with properties calculated at the PBE with a Hubbard U level.

Calculated volume in A^3/atom: 22.18
Spin magnetization in μB/f.u.: 0.0
VASP energy in eV per atom: -6.10
Space group: P6_3mc, No. 186

Cell lengths 6.013, 6.013, 9.916 Å; angles 90.00, 90.00, 120.00 degrees
Atoms (fractional coordinates):
1 K 0.000 0.000 0.000
2 K 0.000 0.000 0.500
3 Li 0.333 0.667 0.182
4 Li 0.667 0.333 0.682
5 Mo 0.333 0.667 0.805
6 Mo 0.667 0.333 0.305
7 O 0.009 0.505 0.746
8 O 0.333 0.667 0.987
9 O 0.495 0.505 0.746
10 O 0.495 0.991 0.746
11 O 0.505 0.009 0.246
12 O 0.505 0.495 0.246
13 O 0.667 0.333 0.487
14 O 0.991 0.495 0.246


- Among the records above, which one has the highest calculated volume?
  number 5